(1)
A relaxed TbNi crystal. Source: the Materials Project database, functional PBE-GGA.

Lattice parameters (Å, degrees): 4.2110 5.4361 21.2487 83.06 90.00 90.00
Element x y z (fractional)
Tb  0.2500  0.6630  0.9397
Tb  0.7500  0.1891  0.3936
Tb  0.7500  0.0211  0.7266
Tb  0.7500  0.1759  0.8933
Tb  0.2500  0.9789  0.2734
Tb  0.2500  0.6656  0.4399
Tb  0.2500  0.5000  0.7731
Tb  0.7500  0.5000  0.2269
Tb  0.2500  0.8109  0.6064
Tb  0.7500  0.3344  0.5601
Tb  0.7500  0.3370  0.0603
Tb  0.2500  0.8241  0.1067
Ni  0.2500  0.1330  0.9878
Ni  0.7500  0.8660  0.5124
Ni  0.2500  0.9704  0.8212
Ni  0.2500  0.2940  0.6544
Ni  0.7500  0.7057  0.8458
Ni  0.7500  0.7060  0.3456
Ni  0.2500  0.4639  0.3208
Ni  0.7500  0.8670  0.0122
Ni  0.7500  0.5361  0.6792
Ni  0.2500  0.1340  0.4876
Ni  0.7500  0.0296  0.1788
Ni  0.2500  0.2943  0.1542

Output
For the theoretical density, the calculation gives 8.981 Mg/m³. The formation energy comes out at -0.437 eV per atom. The space-group type is P2_1/m (11).

***

(2)
A relaxed CsNbF6 crystal. Source: the Materials Project database, functional PBE-GGA.

Lattice parameters (Å, degrees): 5.4553 5.4553 5.4553 96.11 96.11 96.11
Element x y z (fractional)
F  0.5811  0.3015  0.2092
F  0.2092  0.5811  0.3015
F  0.3015  0.2092  0.5811
F  0.7908  0.4189  0.6985
F  0.4189  0.6985  0.7908
F  0.6985  0.7908  0.4189
Cs  0.0000  0.0000  0.0000
Nb  0.5000  0.5000  0.5000

Output
The energy with MP2020 corrections comes out at -6.241 eV/atom. For the theoretical density, the calculation gives 3.541 Mg/m³. The formation energy comes out at -3.430 eV per atom. The space-group type is R-3 (148).

***

(3)
A relaxed EuAlO3 crystal. Source: the Materials Project database, functional PBE-GGA.

Lattice parameters (Å, degrees): 5.3190 5.3398 7.5559 90.00 90.00 90.00
Element x y z (fractional)
Al  0.0000  0.5000  0.0000
Al  0.5000  0.0000  0.0000
Al  0.0000  0.5000  0.5000
Al  0.5000  0.0000  0.5000
O  0.7782  0.7781  0.9783
O  0.5056  0.9575  0.2500
O  0.0056  0.5425  0.2500
O  0.2782  0.7219  0.9783
O  0.7218  0.2781  0.0217
O  0.7218  0.2781  0.4783
O  0.2782  0.7219  0.5217
O  0.2218  0.2219  0.4783
O  0.4944  0.0425  0.7500
O  0.2218  0.2219  0.0217
O  0.9944  0.4575  0.7500
O  0.7782  0.7781  0.5217
Eu  0.5167  0.5012  0.7500
Eu  0.4833  0.4988  0.2500
Eu  0.9833  0.0012  0.2500
Eu  0.0167  0.9988  0.7500

Output
The energy with MP2020 corrections comes out at -9.100 eV/atom. As for the spin magnetization: 6.00 μB/f.u. For the theoretical density, the calculation gives 7.024 Mg/m³. The formation energy comes out at -3.331 eV per atom. The space-group type is Pnma (62).

***

(4)
A relaxed Al5Mo crystal. Source: the Materials Project database, functional PBE-GGA.

Lattice parameters (Å, degrees): 4.9185 4.9185 8.8757 90.00 90.00 120.00
Element x y z (fractional)
Al  0.6616  0.6616  0.0000
Al  0.6616  0.0000  0.5000
Al  0.3333  0.6667  0.2500
Al  0.0000  0.6616  0.5000
Al  0.0000  0.3384  0.0000
Al  0.3384  0.0000  0.0000
Al  0.6667  0.3333  0.7500
Al  0.0000  0.0000  0.7500
Al  0.0000  0.0000  0.2500
Al  0.3384  0.3384  0.5000
Mo  0.6667  0.3333  0.2500
Mo  0.3333  0.6667  0.7500

Output
As for the energy relative to the lowest polymorph listed for this composition: 0 meV per atom. For the theoretical density, the calculation gives 4.123 Mg/m³. The formation energy comes out at -0.243 eV per atom. The space-group type is P6_322 (182).

***

(5)
A relaxed Dy4CoSn8 crystal. Source: the Materials Project database, functional PBE-GGA.

Lattice parameters (Å, degrees): 4.3783 4.4495 16.7421 90.00 90.00 90.00
Element x y z (fractional)
Sn  0.2500  0.5000  0.9377
Sn  0.7500  0.5000  0.7536
Sn  0.7500  0.5000  0.0622
Sn  0.7500  0.0000  0.2373
Sn  0.2500  0.5000  0.2369
Sn  0.2500  0.0000  0.4530
Sn  0.2500  0.0000  0.7460
Sn  0.7500  0.0000  0.5716
Dy  0.7500  0.5000  0.3958
Dy  0.2500  0.5000  0.6013
Dy  0.7500  0.0000  0.8997
Dy  0.2500  0.0000  0.0982
Co  0.2500  0.0000  0.3066

Output
As for the spin magnetization: 0.00 μB/f.u. For the theoretical density, the calculation gives 8.444 Mg/m³. The formation energy comes out at -0.531 eV per atom. The space-group type is Pmm2 (25).

***

(6)
A relaxed CaNbPS2O12 crystal. Source: the Materials Project database, functional PBE-GGA.

Lattice parameters (Å, degrees): 9.1329 9.1170 22.8095 90.34 90.00 120.06
Element x y z (fractional)
O  0.3309  0.4499  0.0699
O  0.3847  0.5076  0.3640
O  0.4701  0.1294  0.6354
O  0.2795  0.4724  0.7617
O  0.6155  0.4826  0.9244
O  0.8877  0.5514  0.7397
O  0.8689  0.3926  0.9255
O  0.9934  0.2206  0.9043
O  0.8671  0.4826  0.4244
O  0.7786  0.7815  0.9052
O  0.1190  0.4499  0.5699
O  0.6647  0.1111  0.7393
O  0.9885  0.7945  0.8027
O  0.5563  0.6682  0.5731
O  0.0029  0.7815  0.4052
O  0.1501  0.1986  0.6952
O  0.8060  0.7945  0.3027
O  0.5256  0.1386  0.9276
O  0.1119  0.6682  0.0731
O  0.4936  0.6156  0.8638
O  0.5237  0.3926  0.4255
O  0.6586  0.5282  0.6358
O  0.8031  0.0065  0.8027
O  0.5557  0.8862  0.0719
O  0.6131  0.1386  0.4276
O  0.4847  0.8641  0.3628
O  0.1383  0.6751  0.4689
O  0.1988  0.0523  0.5912
O  0.0486  0.1986  0.1952
O  0.8858  0.3367  0.2364
O  0.7169  0.5444  0.5311
O  0.2034  0.0065  0.3027
O  0.7188  0.1722  0.0306
O  0.1394  0.4619  0.9682
O  0.5345  0.7196  0.2592
O  0.1947  0.1876  0.8034
O  0.4792  0.3426  0.1376
O  0.9443  0.1421  0.5933
O  0.0488  0.8365  0.6979
O  0.1930  0.4724  0.2617
O  0.8634  0.3426  0.6376
O  0.2790  0.8118  0.2582
O  0.7853  0.0021  0.4051
O  0.8535  0.0523  0.0912
O  0.5294  0.8574  0.4717
O  0.4464  0.1111  0.2393
O  0.4534  0.1722  0.5306
O  0.7877  0.8365  0.1979
O  0.4704  0.2887  0.0287
O  0.8545  0.7996  0.5933
O  0.8696  0.5282  0.1358
O  0.2272  0.2206  0.4043
O  0.1612  0.9487  0.1975
O  0.8275  0.5444  0.0311
O  0.7875  0.9487  0.6975
O  0.1221  0.6156  0.3638
O  0.3225  0.4619  0.4682
O  0.8183  0.2887  0.5287
O  0.1851  0.7196  0.7592
O  0.5328  0.8118  0.7582
O  0.3305  0.8862  0.5719
O  0.4508  0.3367  0.7365
O  0.2168  0.0021  0.9051
O  0.1978  0.1421  0.0933
O  0.3794  0.8641  0.8628
O  0.9450  0.7996  0.0933
O  0.3280  0.8574  0.9717
O  0.9929  0.1876  0.3034
O  0.6593  0.1294  0.1354
O  0.1229  0.5076  0.8640
O  0.5368  0.6751  0.9689
O  0.6637  0.5514  0.2397
Nb  0.0099  0.0145  0.1435
Nb  0.3310  0.6696  0.8105
Nb  0.3387  0.6696  0.3105
Nb  0.6559  0.3291  0.9771
Nb  0.0045  0.0145  0.6435
Nb  0.6732  0.3291  0.4771
P  0.0196  0.2958  0.2518
P  0.2762  0.2958  0.7518
P  0.9428  0.3194  0.5844
P  0.3767  0.3194  0.0844
P  0.6080  0.9570  0.4181
P  0.3489  0.9570  0.9181
S  0.6077  0.6478  0.9167
S  0.9406  0.6302  0.0842
S  0.7071  0.7250  0.2501
S  0.0401  0.6478  0.4167
S  0.6876  0.0582  0.0830
S  0.0351  0.3930  0.9168
S  0.3579  0.3930  0.4168
S  0.2749  0.9787  0.2504
S  0.3705  0.0582  0.5830
S  0.6896  0.6302  0.5842
S  0.0179  0.7250  0.7501
S  0.7037  0.9787  0.7504
Ca  0.6684  0.3338  0.1952
Ca  0.0045  0.0029  0.8620
Ca  0.9984  0.0029  0.3620
Ca  0.6654  0.3338  0.6952
Ca  0.3360  0.6661  0.5285
Ca  0.3301  0.6661  0.0285

Output
The energy with MP2020 corrections comes out at -7.501 eV/atom. As for the spin magnetization: 0.00 μB/f.u. For the theoretical density, the calculation gives 2.546 Mg/m³. The formation energy comes out at -2.491 eV per atom. The space-group type is Cc (9).

***

(7)
A relaxed Mg2VMo3S8 crystal. Source: the Materials Project database, functional PBE-GGA.

Lattice parameters (Å, degrees): 7.3874 7.3845 7.3904 60.31 60.29 60.37
Element x y z (fractional)
S  0.2609  0.2608  0.2605
S  0.7158  0.2634  0.2638
S  0.2635  0.7158  0.2638
S  0.7391  0.7392  0.7395
S  0.7365  0.2842  0.7362
S  0.2842  0.7365  0.7363
S  0.7362  0.7362  0.2842
S  0.2638  0.2638  0.7158
V  0.5000  0.5001  0.4999
Mo  0.0000  0.5000  0.5000
Mo  0.5000  0.0000  0.5000
Mo  0.5000  0.5000  0.0000
Mg  0.1234  0.1233  0.1236
Mg  0.8766  0.8767  0.8764

Output
The energy with MP2020 corrections comes out at -6.532 eV/atom. As for the spin magnetization: 10.83 μB/f.u. For the theoretical density, the calculation gives 3.723 Mg/m³. The formation energy comes out at -0.967 eV per atom. The space-group type is C2/m (12).

***

(8)
A relaxed Na3CaNbSiP2O12 crystal. Source: the Materials Project database, functional PBE-GGA.

Lattice parameters (Å, degrees): 9.2308 9.2888 22.4780 90.23 90.00 119.79
Element x y z (fractional)
O  0.1836  0.4722  0.2538
O  0.1382  0.4518  0.5771
O  0.5095  0.6312  0.8585
O  0.4581  0.1183  0.6420
O  0.3302  0.8750  0.9807
O  0.7887  0.7871  0.3111
O  0.3352  0.4460  0.4797
O  0.8582  0.0529  0.0845
O  0.1494  0.6732  0.0803
O  0.6602  0.1183  0.1420
O  0.5097  0.7986  0.7550
O  0.8054  0.8405  0.2000
O  0.8584  0.3872  0.9182
O  0.9742  0.1919  0.3008
O  0.9495  0.1398  0.5840
O  0.9829  0.1977  0.9131
O  0.0351  0.8405  0.7000
O  0.4731  0.1693  0.5306
O  0.8305  0.5243  0.0287
O  0.8083  0.9891  0.4140
O  0.3338  0.8717  0.5763
O  0.7779  0.9959  0.8168
O  0.5238  0.6732  0.5803
O  0.8100  0.9748  0.6980
O  0.5277  0.1518  0.9220
O  0.1343  0.6851  0.4694
O  0.4703  0.3406  0.7419
O  0.4894  0.1289  0.2484
O  0.8829  0.3336  0.6406
O  0.6241  0.1518  0.4220
O  0.1793  0.2087  0.6901
O  0.1216  0.6312  0.3585
O  0.8549  0.4831  0.4207
O  0.3629  0.8521  0.8630
O  0.5508  0.6851  0.9694
O  0.5258  0.7097  0.2529
O  0.2180  0.9959  0.3168
O  0.5448  0.8750  0.4807
O  0.6938  0.5243  0.5287
O  0.4892  0.8521  0.3630
O  0.1947  0.0529  0.5845
O  0.8629  0.5422  0.7445
O  0.1903  0.1398  0.0840
O  0.6395  0.1289  0.7484
O  0.8570  0.8205  0.5923
O  0.2176  0.1919  0.8008
O  0.5287  0.3872  0.4182
O  0.3136  0.4518  0.0771
O  0.2886  0.4722  0.7538
O  0.1108  0.4460  0.9797
O  0.9984  0.7871  0.8111
O  0.6282  0.4831  0.9207
O  0.1838  0.7097  0.7529
O  0.6962  0.1693  0.0306
O  0.2148  0.1977  0.4131
O  0.4629  0.3033  0.0283
O  0.8405  0.3033  0.5283
O  0.8703  0.3406  0.2419
O  0.9882  0.7926  0.4081
O  0.2890  0.7986  0.2550
O  0.3580  0.4968  0.3673
O  0.8044  0.7926  0.9081
O  0.1388  0.4968  0.8673
O  0.1648  0.9748  0.1980
O  0.8869  0.5347  0.1470
O  0.1808  0.9891  0.9140
O  0.4507  0.3336  0.1406
O  0.0294  0.2087  0.1901
O  0.9635  0.8205  0.0923
O  0.6793  0.5422  0.2445
O  0.5378  0.8717  0.0763
O  0.6478  0.5347  0.6470
Ca  0.6768  0.3339  0.6845
Ca  0.6571  0.3339  0.1845
Ca  0.3243  0.6634  0.5173
Ca  0.0062  0.0142  0.3508
Ca  0.3391  0.6634  0.0173
Ca  0.0080  0.0142  0.8508
Nb  0.6626  0.3372  0.9818
Nb  0.0038  0.9943  0.1492
Nb  0.3302  0.6664  0.3154
Nb  0.3362  0.6664  0.8154
Nb  0.9905  0.9943  0.6492
Nb  0.6746  0.3372  0.4818
Si  0.6292  0.9727  0.4216
Si  0.6757  0.6359  0.5875
Si  0.3435  0.9727  0.9216
Si  0.9601  0.6359  0.0875
Si  0.6888  0.9880  0.7560
Si  0.2992  0.9880  0.2560
Na  0.6505  0.3218  0.3259
Na  0.3267  0.3562  0.5813
Na  0.9848  0.6255  0.2410
Na  0.3155  0.9574  0.0738
Na  0.0144  0.0102  0.9919
Na  0.0295  0.3562  0.0813
Na  0.7021  0.6912  0.4136
Na  0.3094  0.6520  0.6591
Na  0.6407  0.6255  0.7410
Na  0.6660  0.0211  0.2448
Na  0.3188  0.0145  0.4088
Na  0.6419  0.9574  0.5738
Na  0.3551  0.0211  0.7448
Na  0.9891  0.6912  0.9136
Na  0.9959  0.0102  0.4919
Na  0.3426  0.6520  0.1591
Na  0.6713  0.3218  0.8259
Na  0.6957  0.0145  0.9088
P  0.2898  0.3034  0.7479
P  0.0136  0.3034  0.2479
P  0.3576  0.3158  0.0840
P  0.6254  0.6520  0.9156
P  0.6988  0.7124  0.2535
P  0.0266  0.6520  0.4156
P  0.6837  0.0456  0.0846
P  0.0136  0.7124  0.7535
P  0.9582  0.3158  0.5840
P  0.3619  0.0456  0.5846
P  0.0271  0.3776  0.9204
P  0.3506  0.3776  0.4204

Output
The energy with MP2020 corrections comes out at -7.419 eV/atom. As for the energy relative to the lowest polymorph listed for this composition: 0 meV per atom. As for the spin magnetization: 0.00 μB/f.u. For the theoretical density, the calculation gives 2.883 Mg/m³. The formation energy comes out at -2.834 eV per atom. The space-group type is Cc (9).

***

- theoretical density of number 1 (TbNi)?
  8.981 Mg/m³